one.
# PBE Bi2Pb6S9, optimized geometry
# ρ   7.087 g/cm³
data_Bi2Pb6S9
_space_group_name_H-M_alt 'C m c m'
_space_group_IT_number 63
_space_group_name_Hall '-C 2c 2'
_cell_length_a 4.192
_cell_length_b 13.821
_cell_length_c 31.541
_cell_angle_alpha 90.00
_cell_angle_beta 90.00
_cell_angle_gamma 90.00
loop_
_atom_site_label
_atom_site_type_symbol
_atom_site_fract_x
_atom_site_fract_y
_atom_site_fract_z
Bi1 Bi 0.000 0.183 0.174
Pb1 Pb 0.000 0.000 0.000
Pb2 Pb 0.000 0.079 0.750
Pb3 Pb 0.000 0.271 0.558
Pb4 Pb 0.000 0.455 0.118
S1 S 0.000 0.091 0.087
S2 S 0.000 0.182 0.648
S3 S 0.000 0.280 0.250
S4 S 0.000 0.362 0.027
S5 S 0.000 0.443 0.695

---

two.
# PBE Bi2Pb6S9, optimized geometry
# ρ   7.021 g/cm³
data_Bi2Pb6S9
_space_group_name_H-M_alt 'C m c m'
_space_group_IT_number 63
_space_group_name_Hall '-C 2c 2'
_cell_length_a 4.149
_cell_length_b 13.809
_cell_length_c 32.198
_cell_angle_alpha 90.00
_cell_angle_beta 90.00
_cell_angle_gamma 90.00
loop_
_atom_site_label
_atom_site_type_symbol
_atom_site_fract_x
_atom_site_fract_y
_atom_site_fract_z
Bi1 Bi 0.000 0.043 0.116
Pb1 Pb 0.000 0.229 0.557
Pb2 Pb 0.000 0.317 0.175
Pb3 Pb 0.000 0.426 0.750
Pb4 Pb 0.000 0.500 0.000
S1 S 0.000 0.041 0.691
S2 S 0.000 0.138 0.029
S3 S 0.000 0.214 0.250
S4 S 0.000 0.328 0.638
S5 S 0.000 0.416 0.085

---

Which of them is most stable? Easy: two.

---

one.
# PBE Bi2Pb3S6, optimized geometry
# ρ   6.962 g/cm³
data_Bi2Pb3S6
_space_group_name_H-M_alt 'C m c m'
_space_group_IT_number 63
_space_group_name_Hall '-C 2c 2'
_cell_length_a 4.110
_cell_length_b 13.665
_cell_length_c 20.929
_cell_angle_alpha 90.00
_cell_angle_beta 90.00
_cell_angle_gamma 90.00
loop_
_atom_site_label
_atom_site_type_symbol
_atom_site_fract_x
_atom_site_fract_y
_atom_site_fract_z
Bi1 Bi 0.000 0.090 0.135
Pb1 Pb 0.000 0.163 0.750
Pb2 Pb 0.000 0.361 0.045
S1 S 0.000 0.000 0.000
S2 S 0.000 0.187 0.250
S3 S 0.000 0.279 0.594
S4 S 0.000 0.456 0.165

---

two.
# PBE Bi2Pb3S6, optimized geometry
# ρ   6.837 g/cm³
data_Bi2Pb3S6
_space_group_name_H-M_alt 'C 1 2/m 1'
_space_group_IT_number 12
_cell_length_a 13.773
_cell_length_b 4.129
_cell_length_c 21.066
_cell_angle_alpha 90.00
_cell_angle_beta 92.37
_cell_angle_gamma 90.00
loop_
_space_group_symop_operation_xyz
'x,y,z'
'-x,-y,-z'
'-x,y,-z'
'x,-y,z'
'x+1/2,y+1/2,z'
'-x+1/2,-y+1/2,-z'
'-x+1/2,y+1/2,-z'
'x+1/2,-y+1/2,z'
loop_
_atom_site_label
_atom_site_type_symbol
_atom_site_fract_x
_atom_site_fract_y
_atom_site_fract_z
Bi1 Bi 0.096 0.000 0.135
Bi2 Bi 0.139 0.500 0.550
Pb1 Pb 0.082 0.000 0.366
Pb2 Pb 0.135 0.500 0.954
Pb3 Pb 0.173 0.000 0.762
S1 S 0.000 0.000 0.000
S2 S 0.000 0.000 0.500
S3 S 0.035 0.500 0.836
S4 S 0.059 0.500 0.663
S5 S 0.185 0.000 0.250
S6 S 0.233 0.500 0.101
S7 S 0.235 0.500 0.415

---

Which of them is most stable? Easy: two.

---

one.
# PBE Bi2Te4Pb, optimized geometry
# ρ   7.527 g/cm³
data_Bi2Te4Pb
_space_group_name_H-M_alt 'R -3 m'
_space_group_IT_number 166
_space_group_name_Hall '-R 3 2"'
_cell_length_a 4.5143
_cell_length_b 4.5143
_cell_length_c 42.5865
_cell_angle_alpha 90.00
_cell_angle_beta 90.00
_cell_angle_gamma 120.00
loop_
_atom_site_label
_atom_site_type_symbol
_atom_site_fract_x
_atom_site_fract_y
_atom_site_fract_z
Bi1 Bi 0.0000 0.0000 0.0721
Te1 Te 0.0000 0.0000 0.2133
Te2 Te 0.0000 0.0000 0.3660
Pb1 Pb 0.0000 0.0000 0.5000

---

two.
# PBE Bi2Te4Pb, optimized geometry
# ρ   7.625 g/cm³
data_Bi2Te4Pb
_space_group_name_H-M_alt 'R 3 m'
_space_group_IT_number 160
_space_group_name_Hall 'R 3 -2"'
_cell_length_a 4.4854
_cell_length_b 4.4854
_cell_length_c 42.5828
_cell_angle_alpha 90.00
_cell_angle_beta 90.00
_cell_angle_gamma 120.00
loop_
_atom_site_label
_atom_site_type_symbol
_atom_site_fract_x
_atom_site_fract_y
_atom_site_fract_z
Bi1 Bi 0.0000 0.0000 0.0000
Bi2 Bi 0.0000 0.0000 0.4290
Te1 Te 0.0000 0.0000 0.1353
Te2 Te 0.0000 0.0000 0.2923
Te3 Te 0.0000 0.0000 0.7121
Te4 Te 0.0000 0.0000 0.8639
Pb1 Pb 0.0000 0.0000 0.5695

---

Which of them is most stable? Easy: one.

---

one.
# PBE PmBi3, optimized geometry
# ρ   10.326 g/cm³
data_PmBi3
_space_group_name_H-M_alt 'I 4/m m m'
_space_group_IT_number 139
_space_group_name_Hall '-I 4 2'
_cell_length_a 4.723
_cell_length_b 4.723
_cell_length_c 11.130
_cell_angle_alpha 90.00
_cell_angle_beta 90.00
_cell_angle_gamma 90.00
loop_
_atom_site_label
_atom_site_type_symbol
_atom_site_fract_x
_atom_site_fract_y
_atom_site_fract_z
Pm1 Pm 0.000 0.000 0.000
Bi1 Bi 0.000 0.000 0.500
Bi2 Bi 0.000 0.500 0.250

---

two.
# PBE PmBi3, optimized geometry
# ρ   10.208 g/cm³
data_PmBi3
_space_group_name_H-M_alt 'P 63/m m c'
_space_group_IT_number 194
_space_group_name_Hall '-P 6c 2c'
_cell_length_a 6.8335
_cell_length_b 6.8335
_cell_length_c 6.2099
_cell_angle_alpha 90.00
_cell_angle_beta 90.00
_cell_angle_gamma 120.00
loop_
_atom_site_label
_atom_site_type_symbol
_atom_site_fract_x
_atom_site_fract_y
_atom_site_fract_z
Pm1 Pm 0.3333 0.6667 0.2500
Bi1 Bi 0.1730 0.3460 0.7500

---

Which of them is most stable? Easy: one.

---

one.
# PBE PrBi, optimized geometry
# ρ   9.008 g/cm³
data_PrBi
_space_group_name_H-M_alt 'P m -3 m'
_space_group_IT_number 221
_space_group_name_Hall '-P 4 2 3'
_cell_length_a 4.010
_cell_length_b 4.010
_cell_length_c 4.010
_cell_angle_alpha 90.00
_cell_angle_beta 90.00
_cell_angle_gamma 90.00
loop_
_atom_site_label
_atom_site_type_symbol
_atom_site_fract_x
_atom_site_fract_y
_atom_site_fract_z
Pr1 Pr 0.000 0.000 0.000
Bi1 Bi 0.500 0.500 0.500

---

two.
# PBE PrBi, optimized geometry
# ρ   9.126 g/cm³
data_PrBi
_space_group_name_H-M_alt 'P 4/m m m'
_space_group_IT_number 123
_space_group_name_Hall '-P 4 2'
_cell_length_a 4.278
_cell_length_b 4.278
_cell_length_c 3.479
_cell_angle_alpha 90.00
_cell_angle_beta 90.00
_cell_angle_gamma 90.00
loop_
_atom_site_label
_atom_site_type_symbol
_atom_site_fract_x
_atom_site_fract_y
_atom_site_fract_z
Pr1 Pr 0.000 0.000 0.000
Bi1 Bi 0.500 0.500 0.500

---

three.
# PBE PrBi, optimized geometry
# ρ   8.212 g/cm³
data_PrBi
_space_group_name_H-M_alt 'F m -3 m'
_space_group_IT_number 225
_space_group_name_Hall '-F 4 2 3'
_cell_length_a 6.565
_cell_length_b 6.565
_cell_length_c 6.565
_cell_angle_alpha 90.00
_cell_angle_beta 90.00
_cell_angle_gamma 90.00
loop_
_atom_site_label
_atom_site_type_symbol
_atom_site_fract_x
_atom_site_fract_y
_atom_site_fract_z
Pr1 Pr 0.000 0.000 0.000
Bi1 Bi 0.000 0.000 0.500

---

Which of them is most stable? Easy: three.

---

one.
# PBE RbBi3S5, optimized geometry
# ρ   5.653 g/cm³
data_RbBi3S5
_space_group_name_H-M_alt 'P n n m'
_space_group_IT_number 58
_cell_length_a 12.728
_cell_length_b 19.054
_cell_length_c 4.228
_cell_angle_alpha 90.00
_cell_angle_beta 90.00
_cell_angle_gamma 90.00
loop_
_space_group_symop_operation_xyz
'x,y,z'
'-x,-y,-z'
'-x,-y,z'
'x,y,-z'
'x+1/2,-y+1/2,-z+1/2'
'-x+1/2,y+1/2,z+1/2'
'-x+1/2,y+1/2,-z+1/2'
'x+1/2,-y+1/2,z+1/2'
loop_
_atom_site_label
_atom_site_type_symbol
_atom_site_fract_x
_atom_site_fract_y
_atom_site_fract_z
Rb1 Rb 0.102 0.149 0.000
Bi1 Bi 0.051 0.651 0.500
Bi2 Bi 0.169 0.478 0.000
Bi3 Bi 0.226 0.814 0.000
S1 S 0.000 0.000 0.000
S2 S 0.000 0.500 0.500
S3 S 0.089 0.793 0.500
S4 S 0.111 0.333 0.000
S5 S 0.177 0.954 0.000
S6 S 0.191 0.628 0.000

---

two.
# PBE RbBi3S5, optimized geometry
# ρ   5.645 g/cm³
data_RbBi3S5
_space_group_name_H-M_alt 'P n n m'
_space_group_IT_number 58
_cell_length_a 13.138
_cell_length_b 18.710
_cell_length_c 4.178
_cell_angle_alpha 90.00
_cell_angle_beta 90.00
_cell_angle_gamma 90.00
loop_
_space_group_symop_operation_xyz
'x,y,z'
'-x,-y,-z'
'-x,-y,z'
'x,y,-z'
'x+1/2,-y+1/2,-z+1/2'
'-x+1/2,y+1/2,z+1/2'
'-x+1/2,y+1/2,-z+1/2'
'x+1/2,-y+1/2,z+1/2'
loop_
_atom_site_label
_atom_site_type_symbol
_atom_site_fract_x
_atom_site_fract_y
_atom_site_fract_z
Rb1 Rb 0.080 0.115 0.000
Bi1 Bi 0.055 0.654 0.500
Bi2 Bi 0.161 0.471 0.000
Bi3 Bi 0.232 0.806 0.000
S1 S 0.000 0.000 0.500
S2 S 0.000 0.500 0.500
S3 S 0.096 0.796 0.500
S4 S 0.107 0.328 0.000
S5 S 0.189 0.631 0.000
S6 S 0.204 0.947 0.000

---

Which of them is most stable? Easy: two.

---

one.
# PBE RbBi3Se5, optimized geometry
# ρ   6.209 g/cm³
data_RbBi3Se5
_space_group_name_H-M_alt 'P n m a'
_space_group_IT_number 62
_cell_length_a 22.242
_cell_length_b 4.229
_cell_length_c 12.592
_cell_angle_alpha 90.00
_cell_angle_beta 90.00
_cell_angle_gamma 90.00
loop_
_space_group_symop_operation_xyz
'x,y,z'
'-x,-y,-z'
'-x+1/2,-y,z+1/2'
'x+1/2,y,-z+1/2'
'x+1/2,-y+1/2,-z+1/2'
'-x+1/2,y+1/2,z+1/2'
'-x,y+1/2,-z'
'x,-y+1/2,z'
loop_
_atom_site_label
_atom_site_type_symbol
_atom_site_fract_x
_atom_site_fract_y
_atom_site_fract_z
Rb1 Rb 0.212 0.250 0.011
Bi1 Bi 0.025 0.250 0.136
Bi2 Bi 0.077 0.750 0.406
Bi3 Bi 0.129 0.250 0.696
Se1 Se 0.020 0.750 0.639
Se2 Se 0.064 0.250 0.915
Se3 Se 0.114 0.750 0.193
Se4 Se 0.160 0.250 0.473
Se5 Se 0.206 0.750 0.752

---

two.
# PBE RbBi3Se5, optimized geometry
# ρ   6.258 g/cm³
data_RbBi3Se5
_space_group_name_H-M_alt 'C 1 2/m 1'
_space_group_IT_number 12
_cell_length_a 37.031
_cell_length_b 4.373
_cell_length_c 25.076
_cell_angle_alpha 90.00
_cell_angle_beta 119.75
_cell_angle_gamma 90.00
loop_
_space_group_symop_operation_xyz
'x,y,z'
'-x,-y,-z'
'-x,y,-z'
'x,-y,z'
'x+1/2,y+1/2,z'
'-x+1/2,-y+1/2,-z'
'-x+1/2,y+1/2,-z'
'x+1/2,-y+1/2,z'
loop_
_atom_site_label
_atom_site_type_symbol
_atom_site_fract_x
_atom_site_fract_y
_atom_site_fract_z
Rb1 Rb 0.023 0.000 0.212
Rb2 Rb 0.161 0.000 0.652
Rb3 Rb 0.173 0.500 0.193
Bi1 Bi 0.000 0.000 0.000
Bi2 Bi 0.000 0.500 0.500
Bi3 Bi 0.044 0.000 0.660
Bi4 Bi 0.089 0.500 0.985
Bi5 Bi 0.111 0.000 0.438
Bi6 Bi 0.112 0.500 0.824
Bi7 Bi 0.157 0.500 0.340
Bi8 Bi 0.194 0.000 0.992
Bi9 Bi 0.223 0.500 0.554
Bi10 Bi 0.225 0.000 0.842
Se1 Se 0.001 0.500 0.920
Se2 Se 0.030 0.500 0.735
Se3 Se 0.032 0.000 0.455
Se4 Se 0.076 0.500 0.621
Se5 Se 0.083 0.500 0.348
Se6 Se 0.092 0.000 0.061
Se7 Se 0.103 0.000 0.907
Se8 Se 0.130 0.000 0.258
Se9 Se 0.133 0.000 0.770
Se10 Se 0.142 0.500 0.533
Se11 Se 0.187 0.500 0.061
Se12 Se 0.191 0.000 0.448
Se13 Se 0.213 0.500 0.923
Se14 Se 0.236 0.500 0.780
Se15 Se 0.248 0.500 0.362

---

Which of them is most stable? Easy: one.